{
  "formula": "Sr2MgIn",
  "functional": "r2SCAN",
  "state": "optimized geometry",
  "cell": [[0.000, 4.096, 4.096], [4.096, 0.000, 4.096], [4.096, 4.096, 0.000]],
  "species": ["Sr", "Sr", "Mg", "In"],
  "fractional_positions": [[0.250, 0.250, 0.250], [0.750, 0.750, 0.750], [0.000, 0.000, 0.000], [0.500, 0.500, 0.500]],
  "ef_ev_per_fu": -1.2,
  "total_energy_ev_per_atom": -14.563,
  "total_magnetization_mub_per_cell": 0.00
}



{
  "formula": "ZnSiRh2",
  "functional": "r2SCAN",
  "state": "optimized geometry",
  "cell": [[0.000, 2.950, 2.950], [2.950, 0.000, 2.950], [2.950, 2.950, 0.000]],
  "species": ["Zn", "Si", "Rh", "Rh"],
  "fractional_positions": [[0.000, 0.000, 0.000], [0.500, 0.500, 0.500], [0.250, 0.250, 0.250], [0.750, 0.750, 0.750]],
  "ef_ev_per_fu": -2.7,
  "total_energy_ev_per_atom": -17.174,
  "total_magnetization_mub_per_cell": 0.00
}



{
  "formula": "Li2TiCrP3O12",
  "functional": "r2SCAN",
  "state": "optimized geometry",
  "cell": [[8.596, 0.000, 0.000], [0.000, 8.529, 0.000], [0.000, 0.000, 11.926]],
  "species": ["Li", "Li", "Li", "Li", "Li", "Li", "Li", "Li", "Ti", "Ti", "Ti", "Ti", "Cr", "Cr", "Cr", "Cr", "P", "P", "P", "P", "P", "P", "P", "P", "P", "P", "P", "P", "O", "O", "O", "O", "O", "O", "O", "O", "O", "O", "O", "O", "O", "O", "O", "O", "O", "O", "O", "O", "O", "O", "O", "O", "O", "O", "O", "O", "O", "O", "O", "O", "O", "O", "O", "O", "O", "O", "O", "O", "O", "O", "O", "O", "O", "O", "O", "O"],
  "fractional_positions": [[0.218, 0.033, 0.000], [0.223, 0.532, 0.866], [0.277, 0.032, 0.366], [0.282, 0.533, 0.500], [0.718, 0.467, 0.000], [0.723, 0.968, 0.866], [0.777, 0.468, 0.366], [0.782, 0.967, 0.500], [0.037, 0.503, 0.071], [0.463, 0.003, 0.571], [0.537, 0.997, 0.071], [0.963, 0.497, 0.571], [0.034, 0.002, 0.799], [0.466, 0.502, 0.299], [0.534, 0.498, 0.799], [0.966, 0.998, 0.299], [0.107, 0.854, 0.539], [0.108, 0.354, 0.331], [0.246, 0.288, 0.686], [0.254, 0.788, 0.186], [0.392, 0.854, 0.831], [0.393, 0.354, 0.039], [0.607, 0.646, 0.539], [0.608, 0.146, 0.331], [0.746, 0.212, 0.686], [0.754, 0.712, 0.186], [0.892, 0.646, 0.831], [0.893, 0.146, 0.039], [0.010, 0.077, 0.957], [0.015, 0.576, 0.911], [0.062, 0.407, 0.212], [0.066, 0.902, 0.656], [0.107, 0.673, 0.528], [0.108, 0.176, 0.341], [0.135, 0.194, 0.755], [0.142, 0.686, 0.117], [0.160, 0.392, 0.599], [0.166, 0.901, 0.262], [0.227, 0.409, 0.007], [0.231, 0.916, 0.862], [0.269, 0.416, 0.362], [0.273, 0.909, 0.507], [0.334, 0.401, 0.762], [0.340, 0.892, 0.099], [0.358, 0.186, 0.617], [0.365, 0.694, 0.255], [0.392, 0.676, 0.841], [0.393, 0.173, 0.028], [0.434, 0.402, 0.156], [0.438, 0.907, 0.712], [0.485, 0.076, 0.411], [0.490, 0.577, 0.457], [0.510, 0.423, 0.957], [0.515, 0.924, 0.911], [0.562, 0.093, 0.212], [0.566, 0.598, 0.656], [0.607, 0.827, 0.528], [0.608, 0.324, 0.341], [0.635, 0.306, 0.755], [0.642, 0.814, 0.117], [0.660, 0.108, 0.599], [0.666, 0.599, 0.262], [0.727, 0.091, 0.007], [0.731, 0.584, 0.862], [0.769, 0.084, 0.362], [0.773, 0.591, 0.507], [0.834, 0.099, 0.762], [0.840, 0.608, 0.099], [0.858, 0.314, 0.617], [0.865, 0.806, 0.255], [0.892, 0.824, 0.841], [0.893, 0.327, 0.028], [0.934, 0.098, 0.156], [0.938, 0.593, 0.712], [0.985, 0.424, 0.411], [0.990, 0.923, 0.457]],
  "ef_ev_per_fu": -50.6,
  "total_energy_ev_per_atom": -9.581,
  "total_magnetization_mub_per_cell": 12.00
}



{
  "formula": "MnV2O6",
  "functional": "r2SCAN",
  "state": "optimized geometry",
  "cell": [[3.506, 0.000, -0.001], [-1.754, 4.165, 4.913], [-0.001, -8.639, 3.491]],
  "species": ["O", "O", "O", "O", "O", "O", "O", "O", "O", "O", "O", "O", "V", "V", "V", "V", "Mn", "Mn"],
  "fractional_positions": [[0.718, 0.436, 0.411], [0.357, 0.714, 0.327], [0.857, 0.714, 0.827], [0.056, 0.112, 0.402], [0.143, 0.286, 0.173], [0.282, 0.564, 0.589], [0.218, 0.436, 0.911], [0.444, 0.888, 0.098], [0.944, 0.888, 0.598], [0.643, 0.286, 0.673], [0.782, 0.564, 0.089], [0.556, 0.112, 0.902], [0.176, 0.353, 0.364], [0.676, 0.353, 0.864], [0.324, 0.647, 0.136], [0.824, 0.647, 0.636], [0.000, 0.000, 0.000], [0.500, 0.000, 0.500]],
  "ef_ev_per_fu": -22.1,
  "total_energy_ev_per_atom": -11.200,
  "total_magnetization_mub_per_cell": 10.00
}



{
  "formula": "NaHoPd6O8",
  "functional": "r2SCAN",
  "state": "optimized geometry",
  "cell": [[5.751, 0.000, 0.000], [0.000, 5.751, 0.000], [0.000, 0.000, 5.751]],
  "species": ["Na", "Ho", "Pd", "Pd", "Pd", "Pd", "Pd", "Pd", "O", "O", "O", "O", "O", "O", "O", "O"],
  "fractional_positions": [[0.000, 0.000, 0.000], [0.500, 0.500, 0.500], [0.000, 0.249, 0.500], [0.000, 0.751, 0.500], [0.249, 0.500, 0.000], [0.500, 0.000, 0.249], [0.500, 0.000, 0.751], [0.751, 0.500, 0.000], [0.260, 0.260, 0.260], [0.260, 0.260, 0.740], [0.260, 0.740, 0.260], [0.260, 0.740, 0.740], [0.740, 0.260, 0.260], [0.740, 0.260, 0.740], [0.740, 0.740, 0.260], [0.740, 0.740, 0.740]],
  "ef_ev_per_fu": -20.8,
  "total_energy_ev_per_atom": -15.176,
  "total_magnetization_mub_per_cell": 0.00
}



{
  "formula": "NiAsS",
  "functional": "r2SCAN",
  "state": "optimized geometry",
  "cell": [[5.674, 0.000, 0.000], [0.000, 5.674, 0.000], [0.000, 0.000, 5.674]],
  "species": ["Ni", "Ni", "Ni", "Ni", "As", "As", "As", "As", "S", "S", "S", "S"],
  "fractional_positions": [[0.005, 0.495, 0.505], [0.495, 0.505, 0.005], [0.505, 0.005, 0.495], [0.995, 0.995, 0.995], [0.119, 0.881, 0.381], [0.381, 0.119, 0.881], [0.619, 0.619, 0.619], [0.881, 0.381, 0.119], [0.115, 0.615, 0.885], [0.385, 0.385, 0.385], [0.615, 0.885, 0.115], [0.885, 0.115, 0.615]],
  "ef_ev_per_fu": -1.1,
  "total_energy_ev_per_atom": -11.947,
  "total_magnetization_mub_per_cell": 0.00
}



Question: Number 5 is which compound?
Answer: NaHoPd6O8